Computed, not measured: crystalline La2Ti3O9 at its relaxed geometry at the GGA-PBE level of DFT.

- Distance to the lowest polymorph of the same formula: 0.634 eV/f.u.
- Crystal system: monoclinic
- Total magnetic moment: 0.00 μB per formula unit

CIF file:
```
data_La2Ti3O9
_chemical_formula_sum 'La4 Ti6 O18'
_cell_length_a 6.053
_cell_length_b 8.028
_cell_length_c 8.764
_cell_angle_alpha 69.24
_cell_angle_beta 90.00
_cell_angle_gamma 90.00
_symmetry_space_group_name_H-M 'P 1'
_symmetry_Int_Tables_number 1
loop_
_symmetry_equiv_pos_as_xyz
'x,y,z'
loop_
_atom_site_label
_atom_site_type_symbol
_atom_site_fract_x
_atom_site_fract_y
_atom_site_fract_z
_atom_site_occupancy
La1 La 0.750 0.806 0.107 1
La2 La 0.749 0.212 0.252 1
La3 La 0.249 0.788 0.748 1
La4 La 0.250 0.194 0.893 1
O1 O 0.254 0.000 0.478 1
O2 O 0.753 0.329 0.585 1
O3 O 0.984 0.466 0.288 1
O4 O 0.492 0.004 0.179 1
O5 O 0.250 0.369 0.052 1
O6 O 0.743 0.670 0.418 1
O7 O 0.505 0.998 0.817 1
O8 O 0.992 0.996 0.821 1
O9 O 0.243 0.330 0.582 1
O10 O 0.515 0.460 0.290 1
O11 O 0.750 0.631 0.948 1
O12 O 0.253 0.671 0.415 1
O13 O 0.754 0.265 0.964 1
O14 O 0.005 0.002 0.183 1
O15 O 0.015 0.540 0.710 1
O16 O 0.754 0.000 0.522 1
O17 O 0.484 0.534 0.712 1
O18 O 0.254 0.735 0.036 1
Ti1 Ti 0.521 0.515 0.493 1
Ti2 Ti 0.021 0.485 0.507 1
Ti3 Ti 0.250 0.508 0.171 1
Ti4 Ti 0.250 0.924 0.312 1
Ti5 Ti 0.750 0.076 0.688 1
Ti6 Ti 0.750 0.492 0.829 1
```


Computed, not measured: crystalline Ag9Ge2IO8 at its relaxed geometry at the GGA-PBE level of DFT.

- E: -4.3561 eV per atom
- Crystal system: monoclinic
- Total magnetic moment: 0.00 μB per formula unit

CIF file:
```
data_Ag9Ge2IO8
_chemical_formula_sum 'Ag9 Ge2 I1 O8'
_cell_length_a 9.644
_cell_length_b 9.644
_cell_length_c 5.779
_cell_angle_alpha 75.33
_cell_angle_beta 75.33
_cell_angle_gamma 42.63
_symmetry_space_group_name_H-M 'P 1'
_symmetry_Int_Tables_number 1
loop_
_symmetry_equiv_pos_as_xyz
'x,y,z'
loop_
_atom_site_label
_atom_site_type_symbol
_atom_site_fract_x
_atom_site_fract_y
_atom_site_fract_z
_atom_site_occupancy
O1 O 0.830 0.420 0.398 1
O2 O 0.580 0.170 0.602 1
O3 O 0.374 0.374 0.049 1
O4 O 0.626 0.626 0.951 1
O5 O 0.238 0.238 0.874 1
O6 O 0.420 0.830 0.398 1
O7 O 0.170 0.580 0.602 1
O8 O 0.762 0.762 0.126 1
Ag1 Ag 0.046 0.599 0.291 1
Ag2 Ag 0.954 0.401 0.709 1
Ag3 Ag 0.599 0.046 0.291 1
Ag4 Ag 0.719 0.281 0.500 1
Ag5 Ag 0.401 0.954 0.709 1
Ag6 Ag 0.179 0.179 0.284 1
Ag7 Ag 0.281 0.719 0.500 1
Ag8 Ag 0.821 0.821 0.716 1
Ag9 Ag 0.500 0.500 0.000 1
Ge1 Ge 0.659 0.659 0.215 1
Ge2 Ge 0.341 0.341 0.785 1
I1 I 0.000 0.000 0.000 1
```


Computed, not measured: crystalline DyGaCu at its relaxed geometry at the GGA-PBE level of DFT.

- E: -4.4132 eV per atom
- Crystal system: monoclinic

CIF file:
```
data_DyGaCu
_chemical_formula_sum 'Dy2 Ga2 Cu2'
_cell_length_a 4.375
_cell_length_b 5.462
_cell_length_c 5.701
_cell_angle_alpha 95.78
_cell_angle_beta 112.56
_cell_angle_gamma 66.39
_symmetry_space_group_name_H-M 'P 1'
_symmetry_Int_Tables_number 1
loop_
_symmetry_equiv_pos_as_xyz
'x,y,z'
loop_
_atom_site_label
_atom_site_type_symbol
_atom_site_fract_x
_atom_site_fract_y
_atom_site_fract_z
_atom_site_occupancy
Ga1 Ga 0.448 0.719 0.615 1
Ga2 Ga 0.552 0.281 0.385 1
Cu1 Cu 0.048 0.118 0.214 1
Cu2 Cu 0.952 0.882 0.786 1
Dy1 Dy 0.743 0.719 0.205 1
Dy2 Dy 0.257 0.281 0.795 1
```


Computed, not measured: crystalline Na7Sc2Zn2P5SO24 at its relaxed geometry at the GGA-PBE level of DFT.

- E: -6.5304 eV per atom
- Crystal system: triclinic
- Total magnetic moment: 0.00 μB per formula unit

CIF file:
```
data_Na7Sc2Zn2P5SO24
_chemical_formula_sum 'Na21 Sc6 Zn6 P15 S3 O72'
_cell_length_a 9.055
_cell_length_b 9.066
_cell_length_c 22.185
_cell_angle_alpha 90.02
_cell_angle_beta 89.92
_cell_angle_gamma 120.07
_symmetry_space_group_name_H-M 'P 1'
_symmetry_Int_Tables_number 1
loop_
_symmetry_equiv_pos_as_xyz
'x,y,z'
loop_
_atom_site_label
_atom_site_type_symbol
_atom_site_fract_x
_atom_site_fract_y
_atom_site_fract_z
_atom_site_occupancy
O1 O 0.857 0.314 0.527 1
O2 O 0.361 0.479 0.365 1
O3 O 0.155 0.485 0.254 1
O4 O 0.689 0.525 0.246 1
O5 O 0.471 0.154 0.247 1
O6 O 0.983 0.188 0.305 1
O7 O 0.356 0.887 0.858 1
O8 O 0.642 0.117 0.143 1
O9 O 0.118 0.638 0.360 1
O10 O 0.687 0.162 0.746 1
O11 O 0.656 0.146 0.420 1
O12 O 0.815 0.791 0.305 1
O13 O 0.475 0.122 0.643 1
O14 O 0.178 0.198 0.411 1
O15 O 0.146 0.497 0.580 1
O16 O 0.982 0.171 0.585 1
O17 O 0.502 0.645 0.580 1
O18 O 0.488 0.354 0.135 1
O19 O 0.851 0.506 0.420 1
O20 O 0.356 0.860 0.581 1
O21 O 0.020 0.191 0.911 1
O22 O 0.981 0.810 0.087 1
O23 O 0.149 0.450 0.973 1
O24 O 0.861 0.359 0.922 1
O25 O 0.828 0.019 0.086 1
O26 O 0.808 0.817 0.913 1
O27 O 0.645 0.520 0.639 1
O28 O 0.119 0.479 0.859 1
O29 O 0.822 0.024 0.801 1
O30 O 0.877 0.355 0.639 1
O31 O 0.024 0.811 0.692 1
O32 O 0.529 0.646 0.863 1
O33 O 0.777 0.971 0.689 1
O34 O 0.135 0.686 0.475 1
O35 O 0.489 0.353 0.422 1
O36 O 0.835 0.523 0.746 1
O37 O 0.552 0.686 0.972 1
O38 O 0.011 0.825 0.411 1
O39 O 0.687 0.151 0.032 1
O40 O 0.488 0.151 0.920 1
O41 O 0.684 0.538 0.526 1
O42 O 0.159 0.681 0.753 1
O43 O 0.207 0.018 0.301 1
O44 O 0.829 0.807 0.585 1
O45 O 0.465 0.153 0.531 1
O46 O 0.874 0.520 0.139 1
O47 O 0.306 0.443 0.473 1
O48 O 0.023 0.221 0.191 1
O49 O 0.192 0.170 0.086 1
O50 O 0.323 0.481 0.756 1
O51 O 0.552 0.852 0.472 1
O52 O 0.191 0.020 0.586 1
O53 O 0.167 0.981 0.912 1
O54 O 0.211 0.187 0.805 1
O55 O 0.527 0.881 0.358 1
O56 O 0.976 0.790 0.806 1
O57 O 0.523 0.689 0.255 1
O58 O 0.190 0.220 0.692 1
O59 O 0.503 0.855 0.080 1
O60 O 0.306 0.858 0.973 1
O61 O 0.815 0.987 0.411 1
O62 O 0.833 0.309 0.248 1
O63 O 0.455 0.313 0.024 1
O64 O 0.312 0.846 0.252 1
O65 O 0.783 0.808 0.192 1
O66 O 0.141 0.645 0.081 1
O67 O 0.522 0.838 0.755 1
O68 O 0.649 0.510 0.920 1
O69 O 0.355 0.496 0.080 1
O70 O 0.853 0.543 0.027 1
O71 O 0.199 0.984 0.192 1
O72 O 0.478 0.314 0.746 1
Na1 Na 0.009 0.370 0.752 1
Na2 Na 0.996 0.007 0.004 1
Na3 Na 0.295 0.962 0.081 1
Na4 Na 0.002 0.630 0.255 1
Na5 Na 0.967 0.308 0.414 1
Na6 Na 0.334 0.645 0.169 1
Na7 Na 0.983 0.669 0.917 1
Na8 Na 0.362 0.992 0.753 1
Na9 Na 0.669 0.961 0.584 1
Na10 Na 0.008 0.994 0.504 1
Na11 Na 0.655 0.326 0.333 1
Na12 Na 0.038 0.705 0.583 1
Na13 Na 0.296 0.333 0.586 1
Na14 Na 0.699 0.672 0.419 1
Na15 Na 0.666 0.703 0.087 1
Na16 Na 0.639 0.994 0.252 1
Na17 Na 0.669 0.312 0.834 1
Na18 Na 0.039 0.334 0.085 1
Na19 Na 0.631 0.639 0.749 1
Na20 Na 0.329 0.301 0.920 1
Na21 Na 0.334 0.667 0.666 1
P1 P 0.702 0.998 0.747 1
P2 P 0.964 0.632 0.083 1
P3 P 0.629 0.963 0.415 1
P4 P 0.038 0.371 0.917 1
P5 P 0.369 0.037 0.585 1
P6 P 0.036 0.668 0.417 1
P7 P 0.299 0.301 0.749 1
P8 P 0.004 0.302 0.249 1
P9 P 0.665 0.630 0.582 1
P10 P 0.333 0.966 0.916 1
P11 P 0.370 0.334 0.081 1
P12 P 0.000 0.704 0.749 1
P13 P 0.698 0.701 0.249 1
P14 P 0.968 0.334 0.583 1
P15 P 0.664 0.033 0.086 1
Zn1 Zn 0.335 0.683 0.515 1
Zn2 Zn 0.327 0.672 0.819 1
Zn3 Zn 0.999 0.001 0.653 1
Zn4 Zn 0.333 0.662 0.319 1
Zn5 Zn 0.324 0.668 0.015 1
Zn6 Zn 0.993 0.006 0.152 1
Sc1 Sc 0.667 0.327 0.483 1
Sc2 Sc 0.000 0.006 0.849 1
Sc3 Sc 0.667 0.334 0.683 1
Sc4 Sc 0.667 0.338 0.184 1
Sc5 Sc 0.995 0.995 0.350 1
Sc6 Sc 0.668 0.323 0.983 1
S1 S 0.296 0.001 0.248 1
S2 S 0.632 0.667 0.917 1
S3 S 0.333 0.370 0.418 1
```


Computed, not measured: crystalline CaB2H4 at its relaxed geometry at the GGA-PBE level of DFT.

- Distance to the lowest polymorph of the same formula: 0.133 eV/f.u.
- Crystal system: monoclinic
- Total magnetic moment: 0.00 μB per formula unit

CIF file:
```
data_CaB2H4
_chemical_formula_sum 'Ca4 B8 H16'
_cell_length_a 4.047
_cell_length_b 3.318
_cell_length_c 17.290
_cell_angle_alpha 90.00
_cell_angle_beta 84.62
_cell_angle_gamma 90.00
_symmetry_space_group_name_H-M 'P 1'
_symmetry_Int_Tables_number 1
loop_
_symmetry_equiv_pos_as_xyz
'x,y,z'
loop_
_atom_site_label
_atom_site_type_symbol
_atom_site_fract_x
_atom_site_fract_y
_atom_site_fract_z
_atom_site_occupancy
B1 B 0.958 0.500 0.476 1
B2 B 0.034 0.000 0.518 1
B3 B 0.813 0.000 0.232 1
B4 B 0.648 0.500 0.262 1
B5 B 0.432 0.000 0.012 1
B6 B 0.273 0.000 0.736 1
B7 B 0.529 0.500 0.969 1
B8 B 0.103 0.500 0.760 1
H1 H 0.644 0.500 0.475 1
H2 H 0.054 0.244 0.697 1
H3 H 0.901 0.000 0.587 1
H4 H 0.844 0.500 0.959 1
H5 H 0.398 0.368 0.222 1
H6 H 0.398 0.632 0.222 1
H7 H 0.122 0.000 0.024 1
H8 H 0.832 0.500 0.797 1
H9 H 0.337 0.000 0.530 1
H10 H 0.724 0.000 0.164 1
H11 H 0.479 0.500 0.896 1
H12 H 0.054 0.756 0.697 1
H13 H 0.039 0.500 0.403 1
H14 H 0.116 0.000 0.224 1
H15 H 0.463 0.500 0.323 1
H16 H 0.563 0.000 0.709 1
Ca1 Ca 0.069 0.000 0.888 1
Ca2 Ca 0.933 0.500 0.087 1
Ca3 Ca 0.557 0.000 0.397 1
Ca4 Ca 0.456 0.500 0.611 1
```


Computed, not measured: crystalline ThAlCo at its relaxed geometry at the GGA-PBE level of DFT.

- E: -6.1769 eV per atom
- Crystal system: orthorhombic
- Total magnetic moment: 0.00 μB per formula unit

CIF file:
```
data_ThAlCo
_chemical_formula_sum 'Th3 Al3 Co3'
_cell_length_a 7.339
_cell_length_b 7.339
_cell_length_c 3.472
_cell_angle_alpha 90.00
_cell_angle_beta 90.00
_cell_angle_gamma 95.68
_symmetry_space_group_name_H-M 'P 1'
_symmetry_Int_Tables_number 1
loop_
_symmetry_equiv_pos_as_xyz
'x,y,z'
loop_
_atom_site_label
_atom_site_type_symbol
_atom_site_fract_x
_atom_site_fract_y
_atom_site_fract_z
_atom_site_occupancy
Th1 Th 0.652 0.718 0.000 1
Th2 Th 0.282 0.348 0.000 1
Th3 Th 0.973 0.027 0.500 1
Al1 Al 0.729 0.271 0.000 1
Al2 Al 0.060 0.677 0.000 1
Al3 Al 0.323 0.940 0.000 1
Co1 Co 0.907 0.487 0.500 1
Co2 Co 0.513 0.093 0.500 1
Co3 Co 0.560 0.440 0.500 1
```


Computed, not measured: crystalline Th3S at its relaxed geometry at the GGA-PBE level of DFT.

- Distance to the lowest polymorph of the same formula: 0.000 eV/f.u.
- Crystal system: cubic
- Total magnetic moment: 0.02 μB per formula unit

CIF file:
```
data_Th3S
_chemical_formula_sum 'Th3 S1'
_cell_length_a 4.742
_cell_length_b 4.742
_cell_length_c 4.742
_cell_angle_alpha 90.00
_cell_angle_beta 90.00
_cell_angle_gamma 90.00
_symmetry_space_group_name_H-M 'P 1'
_symmetry_Int_Tables_number 1
loop_
_symmetry_equiv_pos_as_xyz
'x,y,z'
loop_
_atom_site_label
_atom_site_type_symbol
_atom_site_fract_x
_atom_site_fract_y
_atom_site_fract_z
_atom_site_occupancy
Th1 Th 0.500 0.000 0.500 1
Th2 Th 0.500 0.500 0.000 1
Th3 Th 0.000 0.500 0.500 1
S1 S 0.000 0.000 0.000 1
```


Computed, not measured: crystalline NaSbCl6 at its relaxed geometry at the GGA-PBE level of DFT.

- E: -3.0425 eV per atom
- Crystal system: tetragonal

CIF file:
```
data_NaSbCl6
_chemical_formula_sum 'Na2 Sb2 Cl12'
_cell_length_a 6.613
_cell_length_b 6.613
_cell_length_c 10.950
_cell_angle_alpha 90.00
_cell_angle_beta 90.00
_cell_angle_gamma 90.00
_symmetry_space_group_name_H-M 'P 1'
_symmetry_Int_Tables_number 1
loop_
_symmetry_equiv_pos_as_xyz
'x,y,z'
loop_
_atom_site_label
_atom_site_type_symbol
_atom_site_fract_x
_atom_site_fract_y
_atom_site_fract_z
_atom_site_occupancy
Cl1 Cl 0.212 0.351 0.844 1
Cl2 Cl 0.649 0.212 0.344 1
Cl3 Cl 0.212 0.351 0.156 1
Cl4 Cl 0.351 0.788 0.656 1
Cl5 Cl 0.790 0.201 0.000 1
Cl6 Cl 0.788 0.649 0.156 1
Cl7 Cl 0.788 0.649 0.844 1
Cl8 Cl 0.201 0.210 0.500 1
Cl9 Cl 0.210 0.799 0.000 1
Cl10 Cl 0.649 0.212 0.656 1
Cl11 Cl 0.351 0.788 0.344 1
Cl12 Cl 0.799 0.790 0.500 1
Sb1 Sb 0.000 0.500 0.000 1
Sb2 Sb 0.500 0.000 0.500 1
Na1 Na 0.000 0.000 0.750 1
Na2 Na 0.000 0.000 0.250 1
```


Computed, not measured: crystalline K2Na2Gd4Nb2O13 at its relaxed geometry at the GGA-PBE level of DFT.

- E: -9.1533 eV per atom
- Crystal system: monoclinic
- Total magnetic moment: 28.00 μB per formula unit

CIF file:
```
data_K2Na2Gd4Nb2O13
_chemical_formula_sum 'K4 Na4 Gd8 Nb4 O26'
_cell_length_a 12.440
_cell_length_b 12.440
_cell_length_c 11.254
_cell_angle_alpha 64.41
_cell_angle_beta 64.41
_cell_angle_gamma 26.40
_symmetry_space_group_name_H-M 'P 1'
_symmetry_Int_Tables_number 1
loop_
_symmetry_equiv_pos_as_xyz
'x,y,z'
loop_
_atom_site_label
_atom_site_type_symbol
_atom_site_fract_x
_atom_site_fract_y
_atom_site_fract_z
_atom_site_occupancy
O1 O 0.865 0.405 0.623 1
O2 O 0.669 0.802 0.622 1
O3 O 0.595 0.135 0.877 1
O4 O 0.180 0.561 0.136 1
O5 O 0.355 0.908 0.861 1
O6 O 0.369 0.829 0.661 1
O7 O 0.439 0.820 0.364 1
O8 O 0.751 0.246 0.477 1
O9 O 0.802 0.669 0.122 1
O10 O 0.246 0.754 0.250 1
O11 O 0.171 0.631 0.839 1
O12 O 0.754 0.249 0.023 1
O13 O 0.631 0.171 0.339 1
O14 O 0.561 0.180 0.636 1
O15 O 0.246 0.751 0.977 1
O16 O 0.092 0.645 0.639 1
O17 O 0.645 0.092 0.139 1
O18 O 0.198 0.331 0.878 1
O19 O 0.908 0.355 0.361 1
O20 O 0.249 0.754 0.523 1
O21 O 0.135 0.595 0.377 1
O22 O 0.754 0.246 0.750 1
O23 O 0.331 0.198 0.378 1
O24 O 0.829 0.369 0.161 1
O25 O 0.405 0.865 0.123 1
O26 O 0.820 0.439 0.864 1
K1 K 0.306 0.196 0.133 1
K2 K 0.694 0.804 0.867 1
K3 K 0.196 0.306 0.633 1
K4 K 0.804 0.694 0.367 1
Gd1 Gd 0.391 0.484 0.450 1
Gd2 Gd 0.484 0.391 0.950 1
Gd3 Gd 0.901 0.974 0.672 1
Gd4 Gd 0.609 0.516 0.550 1
Gd5 Gd 0.026 0.099 0.828 1
Gd6 Gd 0.516 0.609 0.050 1
Gd7 Gd 0.099 0.026 0.328 1
Gd8 Gd 0.974 0.901 0.172 1
Na1 Na 0.119 0.199 0.978 1
Na2 Na 0.881 0.801 0.022 1
Na3 Na 0.199 0.119 0.478 1
Na4 Na 0.801 0.881 0.522 1
Nb1 Nb 0.685 0.616 0.218 1
Nb2 Nb 0.315 0.384 0.782 1
Nb3 Nb 0.384 0.315 0.282 1
Nb4 Nb 0.616 0.685 0.718 1
```